Arrangement i

An optimized crystal structure of Mg14CoNiO16. Source: the Materials Project database, functional PBE with a Hubbard U.

```
Mg14CoNiO16
1.0
8.522 0.000 0.000
0.000 8.517 0.000
0.000 0.000 4.236
Mg Co Ni O
14 1 1 16
Direct
0.500 0.000 0.000
0.500 0.500 0.000
0.000 0.251 0.500
0.000 0.749 0.500
0.500 0.250 0.500
0.500 0.750 0.500
0.250 0.000 0.500
0.249 0.500 0.500
0.750 0.000 0.500
0.751 0.500 0.500
0.249 0.250 0.000
0.249 0.750 0.000
0.751 0.250 0.000
0.751 0.750 0.000
0.000 0.000 0.000
0.000 0.500 0.000
0.253 0.000 0.000
0.251 0.500 0.000
0.747 0.000 0.000
0.749 0.500 0.000
0.249 0.250 0.500
0.249 0.750 0.500
0.751 0.250 0.500
0.751 0.750 0.500
0.000 0.000 0.500
0.000 0.500 0.500
0.500 0.000 0.500
0.500 0.500 0.500
0.000 0.253 0.000
0.000 0.747 0.000
0.500 0.250 0.000
0.500 0.750 0.000
```

## Properties
- Symmetry: No. 47

***

Arrangement ii

An optimized crystal structure of Mg14CoNiO16. Source: the Materials Project database, functional PBE with a Hubbard U.

```
Mg14CoNiO16
1.0
8.517 0.000 0.000
0.000 8.517 0.000
0.000 0.000 4.233
Mg Co Ni O
14 1 1 16
Direct
0.000 0.500 0.000
0.500 0.000 0.000
0.000 0.251 0.500
0.000 0.749 0.500
0.500 0.251 0.500
0.500 0.749 0.500
0.251 0.000 0.500
0.251 0.500 0.500
0.749 0.000 0.500
0.749 0.500 0.500
0.250 0.250 0.000
0.250 0.750 0.000
0.750 0.250 0.000
0.750 0.750 0.000
0.000 0.000 0.000
0.500 0.500 0.000
0.253 0.000 0.000
0.250 0.500 0.000
0.747 0.000 0.000
0.750 0.500 0.000
0.250 0.250 0.500
0.250 0.750 0.500
0.750 0.250 0.500
0.750 0.750 0.500
0.000 0.000 0.500
0.000 0.500 0.500
0.500 0.000 0.500
0.500 0.500 0.500
0.000 0.253 0.000
0.000 0.747 0.000
0.500 0.250 0.000
0.500 0.750 0.000
```

## Properties
- Symmetry: No. 123

***

Which structure is most stable, and how do the rest compare? From most to least stable: arrangement i, arrangement ii.

***

Arrangement i

An optimized crystal structure of Li3Mn2P3O12. Source: the Materials Project database, functional PBE with a Hubbard U.

```
Li3Mn2P3O12
1.0
8.682 0.000 0.000
0.000 8.511 0.000
0.000 0.570 12.496
Li Mn P O
12 8 12 48
Direct
0.089 0.917 0.698
0.695 0.918 0.760
0.781 0.788 0.171
0.281 0.712 0.329
0.195 0.582 0.740
0.589 0.583 0.802
0.411 0.417 0.198
0.805 0.418 0.260
0.719 0.288 0.671
0.219 0.212 0.829
0.305 0.082 0.240
0.911 0.083 0.302
0.041 0.751 0.905
0.541 0.749 0.595
0.956 0.749 0.391
0.456 0.751 0.109
0.544 0.249 0.891
0.044 0.251 0.609
0.459 0.251 0.405
0.959 0.249 0.095
0.746 0.038 0.502
0.614 0.102 0.134
0.906 0.099 0.841
0.114 0.398 0.366
0.406 0.401 0.659
0.246 0.462 0.998
0.754 0.538 0.002
0.594 0.599 0.341
0.254 0.962 0.498
0.386 0.898 0.866
0.886 0.602 0.634
0.094 0.901 0.159
0.176 0.829 0.440
0.101 0.086 0.150
0.320 0.075 0.407
0.410 0.077 0.838
0.623 0.102 0.422
0.611 0.132 0.011
0.783 0.138 0.172
0.744 0.146 0.801
0.861 0.949 0.431
0.899 0.914 0.850
0.680 0.925 0.593
0.590 0.923 0.162
0.377 0.898 0.578
0.389 0.868 0.989
0.217 0.862 0.828
0.972 0.862 0.249
0.256 0.854 0.199
0.139 0.051 0.569
0.038 0.825 0.059
0.509 0.802 0.809
0.009 0.698 0.691
0.538 0.675 0.441
0.676 0.671 0.060
0.717 0.638 0.672
0.756 0.646 0.301
0.889 0.632 0.511
0.472 0.638 0.251
0.877 0.602 0.922
0.180 0.575 0.907
0.399 0.586 0.650
0.090 0.577 0.338
0.361 0.551 0.069
0.639 0.449 0.931
0.910 0.423 0.662
0.601 0.414 0.350
0.820 0.425 0.093
0.123 0.398 0.078
0.528 0.362 0.749
0.111 0.368 0.489
0.244 0.354 0.699
0.283 0.362 0.328
0.324 0.329 0.940
0.462 0.325 0.559
0.991 0.302 0.309
0.491 0.198 0.191
0.962 0.175 0.941
0.824 0.171 0.560
0.028 0.138 0.751
```

## Properties
- Symmetry: No. 14

***

Arrangement ii

An optimized crystal structure of Li3Mn2P3O12. Source: the Materials Project database, functional PBE with a Hubbard U.

```
Li3Mn2P3O12
1.0
-3.518 -5.005 5.963
-4.916 -6.816 -9.264
7.045 -5.007 -0.049
Li Mn P O
12 8 12 48
Direct
0.083 0.696 0.091
0.081 0.759 0.696
0.211 0.171 0.782
0.289 0.329 0.282
0.418 0.739 0.194
0.417 0.802 0.590
0.583 0.197 0.408
0.581 0.261 0.805
0.711 0.671 0.717
0.789 0.829 0.216
0.917 0.240 0.306
0.917 0.303 0.910
0.248 0.902 0.039
0.252 0.596 0.539
0.253 0.391 0.958
0.248 0.112 0.455
0.753 0.890 0.543
0.748 0.611 0.044
0.749 0.403 0.461
0.750 0.097 0.959
0.962 0.504 0.751
0.898 0.135 0.614
0.900 0.841 0.905
0.603 0.365 0.114
0.600 0.657 0.403
0.537 0.998 0.246
0.461 0.004 0.749
0.399 0.343 0.596
0.038 0.498 0.255
0.103 0.864 0.387
0.399 0.635 0.885
0.100 0.157 0.097
0.172 0.440 0.178
0.917 0.149 0.107
0.928 0.406 0.321
0.925 0.836 0.408
0.896 0.424 0.629
0.870 0.013 0.613
0.862 0.174 0.784
0.851 0.801 0.743
0.051 0.432 0.866
0.084 0.851 0.895
0.073 0.594 0.683
0.076 0.164 0.590
0.102 0.577 0.378
0.133 0.986 0.391
0.140 0.825 0.217
0.137 0.249 0.978
0.152 0.193 0.262
0.949 0.568 0.140
0.176 0.058 0.035
0.198 0.804 0.509
0.302 0.693 0.007
0.323 0.445 0.539
0.328 0.061 0.667
0.362 0.672 0.715
0.350 0.302 0.757
0.371 0.512 0.888
0.363 0.254 0.472
0.396 0.925 0.871
0.427 0.906 0.179
0.416 0.648 0.394
0.425 0.337 0.092
0.448 0.069 0.362
0.551 0.932 0.634
0.576 0.664 0.909
0.583 0.353 0.605
0.571 0.095 0.816
0.599 0.079 0.123
0.636 0.750 0.522
0.631 0.487 0.111
0.651 0.694 0.238
0.640 0.326 0.283
0.672 0.941 0.322
0.676 0.558 0.465
0.698 0.306 0.991
0.801 0.193 0.492
0.824 0.941 0.963
0.828 0.561 0.832
0.866 0.751 0.027
```

## Properties
- Symmetry: No. 1

***

Which structure is most stable, and how do the rest compare? From most to least stable: arrangement i, arrangement ii.

***

Arrangement i

An optimized crystal structure of LiVP3O9. Source: the Materials Project database, functional PBE with a Hubbard U.

```
LiVP3O9
1.0
-2.320 -1.467 9.398
0.203 -8.283 -4.609
8.790 3.512 0.269
Li V P O
4 4 12 36
Direct
0.502 0.932 0.346
0.332 0.151 0.359
0.668 0.849 0.641
0.498 0.068 0.654
0.274 0.229 0.748
0.213 0.298 0.098
0.787 0.702 0.902
0.726 0.771 0.252
0.078 0.909 0.811
0.106 0.849 0.489
0.163 0.789 0.056
0.353 0.611 0.002
0.294 0.663 0.431
0.409 0.569 0.693
0.591 0.431 0.307
0.706 0.337 0.569
0.647 0.389 0.998
0.837 0.211 0.944
0.894 0.151 0.511
0.922 0.091 0.189
0.073 0.811 0.636
0.001 0.272 0.953
0.173 0.839 0.909
0.197 0.628 0.998
0.142 0.697 0.406
0.042 0.177 0.629
0.185 0.095 0.878
0.319 0.432 0.968
0.373 0.642 0.850
0.290 0.601 0.572
0.298 0.925 0.213
0.088 0.145 0.196
0.257 0.522 0.278
0.444 0.824 0.498
0.357 0.385 0.635
0.254 0.014 0.559
0.578 0.684 0.729
0.507 0.252 0.846
0.493 0.748 0.154
0.422 0.316 0.271
0.746 0.986 0.441
0.643 0.615 0.365
0.556 0.176 0.502
0.743 0.478 0.722
0.912 0.855 0.804
0.702 0.075 0.787
0.710 0.399 0.428
0.627 0.358 0.150
0.681 0.568 0.032
0.815 0.905 0.122
0.958 0.823 0.371
0.858 0.303 0.594
0.803 0.372 0.002
0.827 0.161 0.091
0.999 0.728 0.047
0.927 0.189 0.364
```

## Properties
- Symmetry: No. 2

***

Arrangement ii

An optimized crystal structure of LiVP3O9. Source: the Materials Project database, functional PBE with a Hubbard U.

```
LiVP3O9
1.0
5.708 -3.056 0.541
3.160 6.969 6.031
0.880 -4.436 4.665
Li V P O
2 2 6 18
Direct
0.667 0.500 0.667
0.666 0.000 0.667
0.333 0.500 0.333
0.333 0.000 0.333
0.726 0.750 0.021
0.726 0.250 0.253
0.253 0.250 0.021
0.021 0.750 0.253
0.253 0.750 0.726
0.021 0.250 0.726
0.982 0.250 0.232
0.786 0.750 0.232
0.982 0.750 0.786
0.786 0.250 0.982
0.232 0.250 0.786
0.232 0.750 0.982
0.606 0.883 0.027
0.606 0.617 0.027
0.606 0.383 0.367
0.606 0.117 0.367
0.367 0.117 0.027
0.367 0.383 0.027
0.027 0.883 0.367
0.027 0.617 0.367
0.367 0.617 0.606
0.367 0.883 0.606
0.027 0.383 0.606
0.027 0.117 0.606
```

## Properties
- Symmetry: No. 188

***

Which structure is most stable, and how do the rest compare? From most to least stable: arrangement i, arrangement ii.